Record 1
MoH4O5, optimized geometry, DFT PBE+U; spin magnetization = 0.000 Bohr magnetons per cell; corrected total energy (MP2020 scheme) = -6.32 eV/atom; calculated formation energy = -1405 meV/atom; E_tot = -5.6570 eV/atom; offset from the most stable computed form = 116.0 meV/atom
1.0
4.3147 0.0000 0.0000
0.0000 8.2456 0.0000
-1.2715 0.0000 6.3304
Mo H O
2 8 10
Cartesian
0.2397 0.0000 0.0952
2.8035 4.1228 6.2352
0.4125 5.2639 2.2222
0.9682 1.9013 2.8002
0.9084 7.0708 3.4941
0.6907 4.3483 5.0790
2.3525 0.2255 1.2514
2.1348 2.9480 2.8363
2.0751 6.0241 3.5302
2.6307 1.1411 4.1082
0.0109 6.5141 0.0855
-0.0780 0.5107 1.7561
-0.0045 4.4676 1.7554
1.3658 6.3958 2.9652
0.8423 4.2952 6.0537
2.2009 0.1724 0.2767
1.6774 2.2730 3.3652
3.0478 0.3448 4.5750
3.1212 4.6335 4.5743
3.0323 2.3913 6.2449


Record 2
VSb2O5, optimized geometry, DFT PBE+U; spin magnetization = 4.001 Bohr magnetons per cell; corrected total energy (MP2020 scheme) = -7.28 eV/atom; calculated formation energy = -2020 meV/atom; E_tot = -6.6379 eV/atom
1.0
5.6266 0.0000 0.0000
0.0000 18.0376 0.0000
0.0000 0.0000 4.9492
V Sb O
4 8 20
Cartesian
0.9829 4.5094 0.5970
1.8304 13.5282 3.0715
3.7962 4.5094 1.8776
4.6437 13.5282 4.3522
0.9904 10.6147 4.7828
0.9904 16.4417 4.7828
1.8229 1.5959 2.3082
1.8229 7.4229 2.3082
3.8037 10.6147 2.6410
3.8037 16.4417 2.6410
4.6362 1.5959 0.1664
4.6362 7.4229 0.1664
0.4127 12.2401 3.6670
0.4127 14.8163 3.6670
0.7570 0.7730 0.7922
0.7570 8.2458 0.7922
0.8999 4.5094 3.9029
1.9134 13.5282 1.4283
2.0563 9.7918 3.2668
2.0563 17.2646 3.2668
2.4006 3.2213 1.1924
2.4006 5.7975 1.1924
3.2260 12.2401 3.7568
3.2260 14.8163 3.7568
3.5703 0.7730 1.6824
3.5703 8.2458 1.6824
3.7132 4.5094 3.5209
4.7267 13.5282 1.0463
4.8696 9.7918 4.1569
4.8696 17.2646 4.1569
5.2139 3.2213 1.2822
5.2139 5.7975 1.2822


Record 3
K4MoO5, optimized geometry, DFT PBE+U; corrected total energy (MP2020 scheme) = -6.01 eV/atom; calculated formation energy = -2004 meV/atom; E_tot = -5.3430 eV/atom
1.0
6.3582 0.0000 0.0000
-1.1039 10.2818 0.0000
-0.7640 -1.3721 17.0605
K Mo O
24 6 30
Cartesian
-0.0896 -0.1319 3.0580
-0.5896 5.3917 7.1019
0.2654 1.9682 0.0681
-0.0697 3.3093 3.7289
0.8281 5.4515 0.9882
0.1815 9.2281 7.3110
0.5992 2.9866 14.5485
1.1452 0.2766 11.1532
1.6769 9.2314 1.6126
1.7686 4.1956 11.6002
2.4574 1.2750 4.9401
2.2080 2.3783 8.4549
2.2823 6.5314 8.6056
2.0328 7.6347 12.1204
2.7217 4.7142 5.4603
2.8134 -0.3217 15.4478
3.3451 8.6331 5.9073
3.8910 5.9231 2.5119
4.3087 -0.3183 9.7495
3.6622 3.4583 16.0723
4.5600 5.6005 13.3316
4.2248 6.9416 16.9923
5.0799 3.5181 9.9585
4.5798 9.0416 14.0025
-0.9038 7.1464 10.1008
0.3848 7.2035 4.2514
1.0326 6.4028 15.4126
3.4576 2.5069 1.6478
4.1055 1.7063 12.8090
5.3941 1.7634 6.9597
-1.2542 8.1171 11.6600
-0.5778 2.1747 12.1487
-0.1356 1.2008 8.5167
-0.4069 7.6189 2.4956
-0.5158 5.2566 15.7657
0.5031 2.9609 6.4935
0.2289 5.6559 9.9338
0.0380 7.9402 15.8126
0.6504 8.2953 9.7780
1.8936 1.4636 2.1182
1.3720 5.8316 3.5076
1.0457 8.9554 4.3097
1.2328 6.8997 5.9864
1.0305 5.6921 13.6890
2.5515 3.2745 0.1966
1.9387 5.6352 16.8638
3.4598 3.2177 3.3715
3.2575 2.0100 11.0741
3.4445 -0.0456 12.7508
3.1183 3.0781 13.5528
2.5967 7.4461 14.9423
3.8399 0.6145 7.2825
4.4522 0.9696 1.2478
4.2613 3.2538 7.1266
3.9872 5.9489 10.5670
5.0060 3.6531 1.2948
4.8971 1.2908 14.5648
4.6258 7.7089 8.5438
5.0681 6.7350 4.9118
5.7444 0.7926 5.4005


Record 4
SrYCoO4, optimized geometry, DFT PBE+U; spin magnetization = 0.050 Bohr magnetons per cell; corrected total energy (MP2020 scheme) = -7.71 eV/atom; calculated formation energy = -2706 meV/atom; E_tot = -7.0879 eV/atom; offset from the most stable computed form = 26.3 meV/atom
1.0
-2.6937 2.6937 12.2730
2.6937 -2.6937 12.2730
2.6937 2.6937 -12.2730
Sr Y Co O
4 4 4 16
Cartesian
0.0000 0.0000 0.0000
2.6937 0.0000 6.1196
0.0000 0.0000 12.2561
0.0000 2.6937 6.1365
2.6937 0.0000 2.6427
0.0000 0.0000 8.7793
0.0000 2.6937 2.6620
0.0000 0.0000 21.0715
0.0000 0.0000 4.3473
2.6937 0.0000 10.5378
0.0000 0.0000 16.6743
0.0000 2.6937 10.4838
2.6937 0.0000 0.3772
0.0000 0.0000 2.3817
1.3925 1.3034 -1.9370
1.3854 -1.3103 10.3581
0.0000 0.0000 6.5137
2.6937 0.0000 8.4515
1.3034 1.3012 4.1995
1.3103 -1.3084 16.4946
0.0000 2.6937 0.4434
0.0000 0.0000 14.5880
1.3084 4.0040 -1.9150
1.3012 1.3903 10.3360
0.0000 0.0000 18.8529
0.0000 2.6937 8.5182
1.3834 4.0021 4.2215
1.3903 1.3925 16.4725


Record 5
Er2CoTe2S2O14, optimized geometry, DFT PBE+U; spin magnetization = 1.013 Bohr magnetons per cell; corrected total energy (MP2020 scheme) = -7.06 eV/atom; calculated formation energy = -2299 meV/atom; E_tot = -6.5284 eV/atom
1.0
5.2730 0.0000 0.0000
0.6108 7.8497 0.0000
2.3637 3.3826 7.0329
Er Co Te S O
2 1 2 2 14
Cartesian
0.6301 2.0400 0.1166
7.6174 9.1923 6.9163
1.1818 1.6913 3.5165
4.5642 7.9420 4.6704
3.6833 3.2903 2.3625
2.2912 6.7668 1.7393
5.9563 4.4655 5.2937
1.4834 5.5201 1.7665
2.1906 7.5100 3.0146
1.6994 7.5668 0.6043
3.7527 7.4355 6.3170
3.4496 9.5043 4.7158
2.1519 2.3495 1.7349
4.5264 4.7824 5.5461
3.7211 6.4499 1.4869
6.0956 8.8828 5.2981
4.7979 1.7280 2.3172
4.4947 3.7968 0.7159
6.5481 3.6655 6.4287
6.0569 3.7223 4.0184
6.7640 5.7122 5.2665


Record 6
MgNiO2, optimized geometry, DFT PBE+U; spin magnetization = 0.021 Bohr magnetons per cell; corrected total energy (MP2020 scheme) = -6.22 eV/atom; calculated formation energy = -1898 meV/atom; E_tot = -5.2383 eV/atom
1.0
2.9339 0.0000 0.0000
1.4371 8.0160 0.0000
1.4615 0.1865 8.0141
Mg Ni O
4 4 8
Cartesian
0.7191 0.7958 2.0333
2.1741 2.2851 4.8836
3.6585 5.9173 3.1305
5.1135 7.4067 5.9808
2.1794 4.8457 5.8980
2.1752 6.2294 0.6873
3.6574 1.9730 7.3268
3.6532 3.3567 2.1160
0.7028 2.1537 0.5415
2.1589 4.8455 2.2925
2.2107 0.8002 6.1711
2.1902 2.0368 2.9675
3.6424 6.1656 5.0466
3.6219 7.4022 1.8430
3.6736 3.3569 5.7216
5.1298 6.0487 7.4726